Entry 1:
The following is a DFT calculation (PBE+U) of crystalline ZnNiTe3O8 at its relaxed geometry.

- symmetry = C2, No. 5
- calculated density (g cm⁻³) = 5.4
- final energy (eV per atom) = -5.223
- crystal system = monoclinic

Cell lengths 6.8684, 6.8684, 11.7823 Å; angles 97.99, 97.99, 45.52 degrees
Element x y z (fractional)
1 Zn 0.2310 0.2310 0.0968
2 Zn 0.7690 0.7690 0.9032
3 Ni 0.1412 0.3899 0.3959
4 Ni 0.6101 0.8588 0.6041
5 Te 0.0234 0.9766 0.5000
6 Te 0.1429 0.1279 0.8012
7 Te 0.2370 0.4868 0.6898
8 Te 0.3477 0.6523 0.0000
9 Te 0.5132 0.7630 0.3102
10 Te 0.8721 0.8571 0.1988
11 O 0.0358 0.3617 0.9381
12 O 0.0440 0.7950 0.8939
13 O 0.1628 0.0649 0.3849
14 O 0.1671 0.6703 0.3956
15 O 0.2050 0.9560 0.1061
16 O 0.2100 0.5617 0.1144
17 O 0.3297 0.8329 0.6044
18 O 0.3471 0.2573 0.5524
19 O 0.4383 0.7900 0.8856
20 O 0.4522 0.0768 0.7739
21 O 0.4773 0.0617 0.2856
22 O 0.6383 0.9642 0.0619
23 O 0.7427 0.6529 0.4476
24 O 0.9232 0.5478 0.2261
25 O 0.9351 0.8372 0.6152
26 O 0.9383 0.5227 0.7144

=====

Entry 2:
The following is a DFT calculation (PBE+U) of crystalline Ti4Ni2O at its relaxed geometry.

- symmetry = F-43m, No. 216
- calculated density (g cm⁻³) = 6.0
- final energy (eV per atom) = -6.393
- crystal system = cubic

Cell lengths 7.9823, 7.9823, 7.9823 Å; angles 60.00, 60.00, 60.00 degrees
Element x y z (fractional)
1 Ti 0.0548 0.0548 0.4452
2 Ti 0.0548 0.4452 0.0548
3 Ti 0.0548 0.4452 0.4452
4 Ti 0.1829 0.1829 0.8171
5 Ti 0.1829 0.8171 0.1829
6 Ti 0.1829 0.8171 0.8171
7 Ti 0.4164 0.4164 0.4164
8 Ti 0.4164 0.4164 0.7506
9 Ti 0.4164 0.7506 0.4164
10 Ti 0.4452 0.0548 0.0548
11 Ti 0.4452 0.0548 0.4452
12 Ti 0.4452 0.4452 0.0548
13 Ti 0.7506 0.4164 0.4164
14 Ti 0.8171 0.1829 0.1829
15 Ti 0.8171 0.1829 0.8171
16 Ti 0.8171 0.8171 0.1829
17 Ni 0.1185 0.6272 0.6272
18 Ni 0.4850 0.8383 0.8383
19 Ni 0.6272 0.1185 0.6272
20 Ni 0.6272 0.6272 0.1185
21 Ni 0.6272 0.6272 0.6272
22 Ni 0.8383 0.4850 0.8383
23 Ni 0.8383 0.8383 0.4850
24 Ni 0.8383 0.8383 0.8383
25 O 0.1257 0.1257 0.1257
26 O 0.1257 0.1257 0.6230
27 O 0.1257 0.6230 0.1257
28 O 0.6230 0.1257 0.1257

=====

Entry 3:
The following is a DFT calculation (PBE+U) of crystalline Ti4Ni2O at its relaxed geometry.

- symmetry = Fd-3m, No. 227
- calculated density (g cm⁻³) = 5.9
- final energy (eV per atom) = -6.599
- crystal system = cubic

Cell lengths 8.0371, 8.0371, 8.0371 Å; angles 60.00, 60.00, 60.00 degrees
Element x y z (fractional)
1 Ti 0.0000 0.0000 0.0000
2 Ti 0.0000 0.0000 0.5000
3 Ti 0.0000 0.5000 0.0000
4 Ti 0.1942 0.1942 0.5558
5 Ti 0.1942 0.5558 0.1942
6 Ti 0.1942 0.5558 0.5558
7 Ti 0.4442 0.4442 0.8058
8 Ti 0.4442 0.8058 0.4442
9 Ti 0.4442 0.8058 0.8058
10 Ti 0.5000 0.0000 0.0000
11 Ti 0.5558 0.1942 0.1942
12 Ti 0.5558 0.1942 0.5558
13 Ti 0.5558 0.5558 0.1942
14 Ti 0.8058 0.4442 0.4442
15 Ti 0.8058 0.4442 0.8058
16 Ti 0.8058 0.8058 0.4442
17 Ni 0.1338 0.7887 0.7887
18 Ni 0.2113 0.2113 0.2113
19 Ni 0.2113 0.2113 0.8662
20 Ni 0.2113 0.8662 0.2113
21 Ni 0.7887 0.1338 0.7887
22 Ni 0.7887 0.7887 0.1338
23 Ni 0.7887 0.7887 0.7887
24 Ni 0.8662 0.2113 0.2113
25 O 0.0000 0.5000 0.5000
26 O 0.5000 0.0000 0.5000
27 O 0.5000 0.5000 0.0000
28 O 0.5000 0.5000 0.5000

=====

Entry 4:
The following is a DFT calculation (PBE+U) of crystalline TiNiO6 at its relaxed geometry.

- symmetry = R3, No. 146
- calculated density (g cm⁻³) = 3.3
- final energy (eV per atom) = -5.637
- crystal system = trigonal

Cell lengths 5.6149, 5.6149, 5.6149 Å; angles 52.48, 52.48, 52.48 degrees
Element x y z (fractional)
1 Ti 0.0000 0.0000 0.0000
2 Ni 0.2099 0.2099 0.2099
3 O 0.1164 0.3764 0.8613
4 O 0.2640 0.9810 0.5950
5 O 0.3764 0.8613 0.1164
6 O 0.5950 0.2640 0.9810
7 O 0.8613 0.1164 0.3764
8 O 0.9810 0.5950 0.2640

=====

Entry 5:
The following is a DFT calculation (PBE+U) of crystalline TlNiO3 at its relaxed geometry.

- symmetry = P2_1/c, No. 14
- calculated density (g cm⁻³) = 9.2
- final energy (eV per atom) = -4.642
- crystal system = monoclinic

Cell lengths 5.3276, 5.4575, 9.3538 Å; angles 90.00, 124.68, 90.00 degrees
Element x y z (fractional)
1 Tl 0.2364 0.0504 0.2525
2 Tl 0.2364 0.4496 0.7525
3 Tl 0.7636 0.5504 0.2475
4 Tl 0.7636 0.9496 0.7475
5 Ni 0.0000 0.0000 0.5000
6 Ni 0.0000 0.5000 0.0000
7 Ni 0.5000 0.0000 0.0000
8 Ni 0.5000 0.5000 0.5000
9 O 0.1329 0.2096 0.9394
10 O 0.1329 0.2904 0.4394
11 O 0.2402 0.6979 0.9468
12 O 0.2402 0.8021 0.4468
13 O 0.3490 0.0482 0.7442
14 O 0.3490 0.4518 0.2442
15 O 0.6510 0.5482 0.7558
16 O 0.6510 0.9518 0.2558
17 O 0.7598 0.1979 0.5532
18 O 0.7598 0.3021 0.0532
19 O 0.8671 0.7096 0.5606
20 O 0.8671 0.7904 0.0606

=====

Entry 6:
The following is a DFT calculation (PBE+U) of crystalline TlNiO3 at its relaxed geometry.

- symmetry = P1, No. 1
- calculated density (g cm⁻³) = 9.5
- final energy (eV per atom) = -4.351
- crystal system = triclinic

Cell lengths 3.7854, 3.7862, 3.7980 Å; angles 90.19, 90.19, 90.23 degrees
Element x y z (fractional)
1 Tl 0.0000 0.0000 0.0000
2 Ni 0.5159 0.5166 0.4903
3 O 0.0184 0.5420 0.4888
4 O 0.5132 0.5129 0.9890
5 O 0.5391 0.0193 0.4805

=====

Entry 7:
The following is a DFT calculation (PBE+U) of crystalline TlNiO3 at its relaxed geometry.

- symmetry = Pnma, No. 62
- calculated density (g cm⁻³) = 9.2
- final energy (eV per atom) = -4.643
- crystal system = orthorhombic

Cell lengths 5.4556, 7.7474, 5.3279 Å; angles 90.00, 90.00, 90.00 degrees
Element x y z (fractional)
1 Tl 0.0499 0.2500 0.0166
2 Tl 0.4501 0.7500 0.5166
3 Tl 0.5499 0.2500 0.4834
4 Tl 0.9501 0.7500 0.9834
5 Ni 0.0000 0.0000 0.5000
6 Ni 0.0000 0.5000 0.5000
7 Ni 0.5000 0.0000 0.0000
8 Ni 0.5000 0.5000 0.0000
9 O 0.0455 0.7500 0.3928
10 O 0.2059 0.5587 0.7962
11 O 0.2059 0.9413 0.7962
12 O 0.2941 0.0587 0.2962
13 O 0.2941 0.4413 0.2962
14 O 0.4545 0.2500 0.8928
15 O 0.5455 0.7500 0.1072
16 O 0.7059 0.5587 0.7038
17 O 0.7059 0.9413 0.7038
18 O 0.7941 0.0587 0.2038
19 O 0.7941 0.4413 0.2038
20 O 0.9545 0.2500 0.6072

=====

Entry 8:
The following is a DFT calculation (PBE+U) of crystalline TlNiO3 at its relaxed geometry.

- symmetry = Cm, No. 8
- calculated density (g cm⁻³) = 9.5
- final energy (eV per atom) = -4.351
- crystal system = monoclinic

Cell lengths 5.3434, 5.3645, 3.7980 Å; angles 90.00, 90.27, 90.00 degrees
Element x y z (fractional)
1 Tl 0.0000 0.0000 0.0000
2 Tl 0.5000 0.5000 0.0000
3 Ni 0.0162 0.5000 0.4903
4 Ni 0.5162 0.0000 0.4903
5 O 0.0131 0.5000 0.9890
6 O 0.2802 0.2618 0.4888
7 O 0.2802 0.7382 0.4888
8 O 0.5131 0.0000 0.9890
9 O 0.7802 0.2382 0.4888
10 O 0.7802 0.7618 0.4888

=====

Entry 9:
The following is a DFT calculation (PBE+U) of crystalline TlNiO3 at its relaxed geometry.

- symmetry = Pm, No. 6
- calculated density (g cm⁻³) = 9.0
- final energy (eV per atom) = -4.413
- crystal system = monoclinic

Cell lengths 3.9131, 3.7827, 3.9347 Å; angles 90.00, 98.02, 90.00 degrees
Element x y z (fractional)
1 Tl 0.0000 0.0000 0.0000
2 Ni 0.5242 0.5000 0.5092
3 O 0.0423 0.5000 0.6164
4 O 0.4615 0.0000 0.4348
5 O 0.6307 0.5000 0.0255

=====

Entry 10:
The following is a DFT calculation (PBE+U) of crystalline TlNiO3 at its relaxed geometry.

- symmetry = R3c, No. 161
- calculated density (g cm⁻³) = 9.5
- final energy (eV per atom) = -4.615
- crystal system = trigonal

Cell lengths 5.3775, 5.3775, 5.3775 Å; angles 59.74, 59.74, 59.74 degrees
Element x y z (fractional)
1 Tl 0.0000 0.0000 0.0000
2 Tl 0.5000 0.5000 0.5000
3 Ni 0.2365 0.2365 0.2365
4 Ni 0.7365 0.7365 0.7365
5 O 0.0779 0.8930 0.4735
6 O 0.3930 0.5779 0.9735
7 O 0.4735 0.0779 0.8930
8 O 0.5779 0.9735 0.3930
9 O 0.8930 0.4735 0.0779
10 O 0.9735 0.3930 0.5779

=====

Entry 11:
The following is a DFT calculation (PBE+U) of crystalline TmNiO3 at its relaxed geometry.

- symmetry = P2_1/c, No. 14
- calculated density (g cm⁻³) = 8.7
- final energy (eV per atom) = -6.628
- crystal system = monoclinic

Cell lengths 5.1588, 5.5310, 9.0117 Å; angles 90.00, 124.65, 90.00 degrees
Element x y z (fractional)
1 Tm 0.2279 0.0779 0.2492
2 Tm 0.2279 0.4221 0.7492
3 Tm 0.7721 0.5779 0.2508
4 Tm 0.7721 0.9221 0.7508
5 Ni 0.0000 0.0000 0.5000
6 Ni 0.0000 0.5000 0.0000
7 Ni 0.5000 0.0000 0.0000
8 Ni 0.5000 0.5000 0.5000
9 O 0.1433 0.1870 0.9458
10 O 0.1433 0.3130 0.4458
11 O 0.2588 0.7016 0.9423
12 O 0.2588 0.7984 0.4423
13 O 0.3681 0.0378 0.7559
14 O 0.3681 0.4622 0.2559
15 O 0.6319 0.5378 0.7441
16 O 0.6319 0.9622 0.2441
17 O 0.7412 0.2016 0.5577
18 O 0.7412 0.2984 0.0577
19 O 0.8567 0.6870 0.5542
20 O 0.8567 0.8130 0.0542

=====

Entry 12:
The following is a DFT calculation (PBE+U) of crystalline TmNiO3 at its relaxed geometry.

- symmetry = Pnma, No. 62
- calculated density (g cm⁻³) = 8.6
- final energy (eV per atom) = -6.628
- crystal system = orthorhombic

Cell lengths 5.5421, 7.4138, 5.1711 Å; angles 90.00, 90.00, 90.00 degrees
Element x y z (fractional)
1 Tm 0.0780 0.2500 0.0216
2 Tm 0.4220 0.7500 0.5216
3 Tm 0.5780 0.2500 0.4784
4 Tm 0.9220 0.7500 0.9784
5 Ni 0.0000 0.0000 0.5000
6 Ni 0.0000 0.5000 0.5000
7 Ni 0.5000 0.0000 0.0000
8 Ni 0.5000 0.5000 0.0000
9 O 0.0373 0.7500 0.3880
10 O 0.1879 0.5532 0.8037
11 O 0.1879 0.9468 0.8037
12 O 0.3121 0.0532 0.3037
13 O 0.3121 0.4468 0.3037
14 O 0.4627 0.2500 0.8880
15 O 0.5373 0.7500 0.1120
16 O 0.6879 0.5532 0.6963
17 O 0.6879 0.9468 0.6963
18 O 0.8121 0.0532 0.1963
19 O 0.8121 0.4468 0.1963
20 O 0.9627 0.2500 0.6120

=====

Entry 13:
The following is a DFT calculation (PBE+U) of crystalline V2NiO6 at its relaxed geometry.

- symmetry = P1, No. 1
- calculated density (g cm⁻³) = 4.2
- final energy (eV per atom) = -6.904
- crystal system = triclinic

Cell lengths 4.8787, 7.2482, 26.0329 Å; angles 86.21, 88.52, 85.20 degrees
Element x y z (fractional)
1 V 0.0000 0.0000 0.0000
2 V 0.0004 0.1205 0.8799
3 V 0.9996 0.7864 0.2141
4 V 0.0018 0.3320 0.6658
5 V 0.1023 0.0175 0.4076
6 V 0.1015 0.3572 0.0720
7 V 0.1017 0.5702 0.8582
8 V 0.1046 0.2344 0.1917
9 V 0.1050 0.6887 0.7379
10 V 0.1045 0.9059 0.5201
11 V 0.4371 0.3372 0.9566
12 V 0.4433 0.6694 0.6225
13 V 0.4441 0.0048 0.2905
14 V 0.6652 0.0194 0.1153
15 V 0.6650 0.3530 0.7813
16 V 0.9604 0.6081 0.4440
17 V 0.9892 0.4561 0.5486
18 V 0.9916 0.6686 0.3328
19 Ni 0.5460 0.8010 0.9248
20 Ni 0.5473 0.4634 0.2581
21 Ni 0.5514 0.6784 0.0359
22 Ni 0.5532 0.0108 0.7021
23 Ni 0.5543 0.3432 0.3708
24 Ni 0.5554 0.1214 0.5900
25 Ni 0.5561 0.2314 0.4788
26 Ni 0.5557 0.5568 0.1469
27 Ni 0.5568 0.8894 0.8133
28 O 0.1821 0.6468 0.2700
29 O 0.1832 0.4131 0.4915
30 O 0.1843 0.3172 0.6008
31 O 0.1841 0.9860 0.9355
32 O 0.1881 0.5220 0.3770
33 O 0.2006 0.7156 0.1661
34 O 0.2027 0.0486 0.8321
35 O 0.2045 0.8452 0.0332
36 O 0.2058 0.1778 0.6994
37 O 0.2275 0.7865 0.4538
38 O 0.2568 0.2285 0.0097
39 O 0.2583 0.3384 0.8971
40 O 0.2612 0.5599 0.6757
41 O 0.2629 0.0033 0.2311
42 O 0.2690 0.8940 0.3418
43 O 0.2710 0.6705 0.5644
44 O 0.3360 0.1235 0.1210
45 O 0.3360 0.4574 0.7873
46 O 0.3821 0.1457 0.4163
47 O 0.3828 0.0372 0.5270
48 O 0.3842 0.4798 0.0823
49 O 0.3861 0.6976 0.8628
50 O 0.3858 0.8122 0.7488
51 O 0.3870 0.3639 0.1958
52 O 0.4446 0.2343 0.3035
53 O 0.4459 0.5651 0.9695
54 O 0.4486 0.8970 0.6362
55 O 0.6563 0.1250 0.7686
56 O 0.6566 0.7918 0.1022
57 O 0.7149 0.6594 0.2091
58 O 0.7163 0.4496 0.4343
59 O 0.7164 0.9926 0.8753
60 O 0.7179 0.3228 0.5427
61 O 0.7182 0.8770 0.9893
62 O 0.7209 0.2084 0.6551
63 O 0.7215 0.5372 0.3226
64 O 0.7655 0.2323 0.9506
65 O 0.7761 0.8932 0.2851
66 O 0.7787 0.5631 0.6150
67 O 0.8380 0.6723 0.5085
68 O 0.8424 0.3523 0.8408
69 O 0.8427 0.0180 0.1749
70 O 0.8428 0.7854 0.3925
71 O 0.8449 0.1280 0.0619
72 O 0.8451 0.4608 0.7277
73 O 0.8922 0.1637 0.3713
74 O 0.8957 0.9635 0.5697
75 O 0.8982 0.5119 0.0386
76 O 0.9000 0.6420 0.9059
77 O 0.9002 0.8439 0.7048
78 O 0.9016 0.3076 0.2393
79 O 0.9096 0.0599 0.4700
80 O 0.9189 0.3701 0.1361
81 O 0.9194 0.7040 0.8023

=====

Entry 14:
The following is a DFT calculation (PBE+U) of crystalline VNiO3 at its relaxed geometry.

- symmetry = P-1, No. 2
- calculated density (g cm⁻³) = 5.1
- final energy (eV per atom) = -6.652
- crystal system = triclinic

Cell lengths 4.9760, 5.1033, 5.4329 Å; angles 62.24, 63.86, 60.88 degrees
Element x y z (fractional)
1 V 0.1480 0.1597 0.0479
2 V 0.8520 0.8403 0.9521
3 Ni 0.3514 0.3524 0.4438
4 Ni 0.6486 0.6476 0.5562
5 O 0.0443 0.7690 0.2371
6 O 0.2306 0.5611 0.7626
7 O 0.4303 0.0569 0.2386
8 O 0.5697 0.9431 0.7614
9 O 0.7694 0.4389 0.2374
10 O 0.9557 0.2310 0.7629